(1)
## Fe2NiP2O8 (PBE+U)

Data for a geometry-optimized Fe2NiP2O8 structure.

Spin magnetization: 10.00 μB per formula unit
V: 152.3 Å³/f.u.
Symmetry: P2_1 (4)

a = 6.023 Å, b = 4.858 Å, c = 10.409 Å
α = 90.00°, β = 90.68°, γ = 90.00°
Sites, in units of the cell vectors:
1 Fe 0.000 0.000 0.247
2 Fe 0.000 0.500 0.753
3 Fe 0.263 0.518 0.469
4 Fe 0.737 0.018 0.531
5 Ni 0.263 0.990 0.973
6 Ni 0.737 0.490 0.027
7 P 0.241 0.069 0.654
8 P 0.243 0.429 0.147
9 P 0.757 0.929 0.853
10 P 0.759 0.569 0.346
11 O 0.030 0.218 0.591
12 O 0.032 0.279 0.084
13 O 0.222 0.753 0.648
14 O 0.227 0.746 0.142
15 O 0.247 0.179 0.794
16 O 0.248 0.319 0.287
17 O 0.433 0.183 0.572
18 O 0.438 0.312 0.067
19 O 0.562 0.812 0.933
20 O 0.567 0.683 0.428
21 O 0.752 0.819 0.713
22 O 0.753 0.679 0.206
23 O 0.773 0.246 0.858
24 O 0.778 0.253 0.352
25 O 0.968 0.779 0.916
26 O 0.970 0.718 0.409

(2)
## Fe2NiP2O8 (PBE+U)

Data for a geometry-optimized Fe2NiP2O8 structure.

Spin magnetization: 10.00 μB per formula unit
V: 153.4 Å³/f.u.
Symmetry: P2_1/c (14)

a = 6.107 Å, b = 4.772 Å, c = 10.526 Å
α = 90.00°, β = 90.28°, γ = 90.00°
Sites, in units of the cell vectors:
1 Fe 0.237 0.022 0.282
2 Fe 0.237 0.478 0.782
3 Fe 0.763 0.522 0.218
4 Fe 0.763 0.978 0.718
5 Ni 0.500 0.000 0.000
6 Ni 0.500 0.500 0.500
7 P 0.264 0.574 0.098
8 P 0.264 0.926 0.598
9 P 0.736 0.074 0.402
10 P 0.736 0.426 0.902
11 O 0.072 0.682 0.180
12 O 0.072 0.818 0.680
13 O 0.258 0.693 0.961
14 O 0.258 0.807 0.461
15 O 0.281 0.247 0.603
16 O 0.281 0.253 0.103
17 O 0.472 0.728 0.158
18 O 0.472 0.772 0.658
19 O 0.528 0.228 0.342
20 O 0.528 0.272 0.842
21 O 0.719 0.747 0.897
22 O 0.719 0.753 0.397
23 O 0.742 0.193 0.539
24 O 0.742 0.307 0.039
25 O 0.928 0.182 0.320
26 O 0.928 0.318 0.820

If we sort the structures by their calculated energies, the order from most to least stable is (2), (1).

(1)
## ZnFe4NiO8 (PBE+U)

Data for a geometry-optimized ZnFe4NiO8 structure.

Spin magnetization: 18.00 μB per formula unit
V: 155.4 Å³/f.u.
Symmetry: F-43m (216)

a = 6.035 Å, b = 6.035 Å, c = 6.035 Å
α = 60.00°, β = 60.00°, γ = 60.00°
Sites, in units of the cell vectors:
1 Zn 0.000 0.000 0.000
2 Fe 0.125 0.625 0.625
3 Fe 0.625 0.125 0.625
4 Fe 0.625 0.625 0.125
5 Fe 0.625 0.625 0.625
6 Ni 0.250 0.250 0.250
7 O 0.385 0.385 0.385
8 O 0.385 0.385 0.846
9 O 0.385 0.846 0.385
10 O 0.406 0.865 0.865
11 O 0.846 0.385 0.385
12 O 0.865 0.406 0.865
13 O 0.865 0.865 0.406
14 O 0.865 0.865 0.865

(2)
## ZnFe4NiO8 (PBE+U)

Data for a geometry-optimized ZnFe4NiO8 structure.

V: 153.5 Å³/f.u.
Symmetry: R3m (160)

a = 6.007 Å, b = 6.007 Å, c = 6.007 Å
α = 60.05°, β = 60.05°, γ = 60.05°
Sites, in units of the cell vectors:
1 Zn 0.000 0.000 0.000
2 Fe 0.376 0.376 0.882
3 Fe 0.376 0.882 0.376
4 Fe 0.754 0.754 0.754
5 Fe 0.882 0.376 0.376
6 Ni 0.376 0.376 0.376
7 O 0.134 0.134 0.596
8 O 0.134 0.596 0.134
9 O 0.136 0.136 0.136
10 O 0.147 0.625 0.625
11 O 0.596 0.134 0.134
12 O 0.622 0.622 0.622
13 O 0.625 0.147 0.625
14 O 0.625 0.625 0.147

If we sort the structures by their calculated energies, the order from most to least stable is (1), (2).